This record from the Materials Project describes crystalline La10Er9S27 at its relaxed geometry. The functional is GGA-PBE.

Summary:
**Excess energy over the best structure of this formula in the dataset**: 0 meV per atom
**Total DFT energy (no corrections)**: -302.11 eV/cell

a b c (Å): 3.943 15.005 18.876
angles (deg): 99.15 95.98 97.55
Fractional coordinates of all 46 atoms:
La 0.000 0.000 0.000
La 0.007 0.306 0.711
La 0.073 0.234 0.915
La 0.207 0.519 0.888
La 0.246 0.162 0.328
La 0.377 0.449 0.301
La 0.440 0.376 0.505
La 0.455 0.682 0.216
La 0.645 0.887 0.398
La 0.806 0.795 0.817
Er 0.052 0.647 0.467
Er 0.069 0.933 0.195
Er 0.390 0.749 0.021
Er 0.393 0.035 0.749
Er 0.622 0.558 0.684
Er 0.681 0.222 0.137
Er 0.725 0.842 0.608
Er 0.772 0.459 0.080
Er 0.826 0.125 0.532
S 0.031 0.447 0.616
S 0.058 0.814 0.293
S 0.139 0.112 0.162
S 0.169 0.835 0.506
S 0.206 0.645 0.767
S 0.226 0.340 0.108
S 0.242 0.037 0.449
S 0.279 0.848 0.709
S 0.315 0.569 0.055
S 0.396 0.867 0.923
S 0.416 0.234 0.601
S 0.503 0.217 0.794
S 0.512 0.657 0.372
S 0.514 0.928 0.093
S 0.567 0.144 0.994
S 0.606 0.654 0.571
S 0.611 0.441 0.777
S 0.654 0.013 0.288
S 0.663 0.387 0.940
S 0.786 0.296 0.276
S 0.802 0.668 0.928
S 0.838 0.030 0.645
S 0.840 0.241 0.439
S 0.885 0.538 0.222
S 0.933 0.023 0.843
S 0.943 0.466 0.422
S 0.944 0.754 0.123

---

This record from the Materials Project describes crystalline LaEr2Se4 at its relaxed geometry. The functional is GGA-PBE.

Summary:
**Total DFT energy (no corrections)**: -81.45 eV/cell
**Magnetization**: 0.004 Bohr magnetons per cell

a b c (Å): 7.607 7.607 7.607
angles (deg): 109.26 109.26 109.90
Fractional coordinates of all 14 atoms:
La 0.000 0.000 0.000
La 0.750 0.250 0.500
Er 0.256 0.625 0.131
Er 0.375 0.506 0.631
Er 0.494 0.125 0.869
Er 0.875 0.744 0.369
Se 0.134 0.732 0.747
Se 0.137 0.234 0.753
Se 0.268 0.016 0.402
Se 0.482 0.384 0.247
Se 0.613 0.866 0.598
Se 0.616 0.863 0.098
Se 0.766 0.518 0.902
Se 0.984 0.387 0.253

---

This record from the Materials Project describes crystalline Li3Er at its relaxed geometry. The functional is GGA-PBE.

Summary:
**Total DFT energy (no corrections)**: -18.89 eV/cell
**Magnetization**: 0.331 Bohr magnetons per cell

a b c (Å): 6.478 6.478 5.047
angles (deg): 90.00 90.00 120.00
Fractional coordinates of all 8 atoms:
Li 0.152 0.305 0.250
Li 0.152 0.848 0.250
Li 0.305 0.152 0.750
Li 0.695 0.848 0.250
Li 0.848 0.152 0.750
Li 0.848 0.695 0.750
Er 0.333 0.667 0.750
Er 0.667 0.333 0.250

---

Number 1: formation enthalpy at 0 K -2.4683 eV per atom. Number 2: formation enthalpy at 0 K -2.0796 eV per atom. Number 3: formation enthalpy at 0 K 0.2125 eV per atom.